Here is a geometry-optimized TeO2 structure from the Materials Project. Energies are from GGA-PBE.

* piezoelectric modulus e_max: 0.5 C/m2
* DFT total energy: -5.372 eV/atom

Cell and atoms, written as extended XYZ:
```
12
Lattice="4.967 0.000 0.000 0.000 4.967 0.000 0.000 0.000 7.623" Properties=species:S:1:pos:R:3 pbc="T T T"
Te 4.812 4.812 3.811
Te 2.639 2.328 5.717
Te 2.328 2.639 1.906
Te 0.156 0.156 0.000
O 3.703 4.245 2.359
O 1.264 0.722 6.170
O 4.245 3.703 5.264
O 1.762 3.748 0.453
O 0.722 1.264 1.453
O 1.219 3.206 3.359
O 3.748 1.762 7.170
O 3.206 1.219 4.264
```

Here is a geometry-optimized CsTlS2 structure from the Materials Project. Energies are from GGA-PBE.

* DFT total energy: -3.532 eV/atom

Cell and atoms, written as extended XYZ:
```
32
Lattice="1.544 -7.840 -2.162 -8.061 -1.187 -1.463 0.488 2.433 -16.438" Properties=species:S:1:pos:R:3 pbc="T T T"
Cs -0.963 -1.483 -11.159
Cs -5.066 -5.111 -8.904
Cs -3.641 -4.713 -17.208
Cs -2.388 -1.882 -2.854
Cs 0.407 -4.087 -16.552
Cs -6.436 -2.507 -3.510
Cs -0.208 -5.437 -12.165
Cs -5.821 -1.158 -7.898
Tl -6.505 -1.323 -15.719
Tl 0.476 -5.271 -4.344
Tl -5.264 0.090 -12.127
Tl -0.765 -6.685 -7.936
Tl -4.501 -3.788 -13.184
Tl -1.528 -2.806 -6.879
Tl -2.519 -0.735 -15.008
Tl -3.511 -5.860 -5.055
S -6.379 -3.767 -14.932
S 0.350 -2.828 -5.131
S -3.018 0.891 -13.086
S -3.011 -7.486 -6.976
S -5.084 -2.299 -11.165
S -0.945 -4.295 -8.898
S -4.308 -0.581 -16.854
S -1.722 -6.014 -3.209
S -2.222 -3.154 -14.190
S -3.807 -3.441 -5.873
S -0.278 -0.009 -16.075
S -5.751 -6.585 -3.988
S -4.297 -6.207 -12.295
S -1.733 -0.387 -7.768
S -7.175 0.278 -13.829
S 1.146 -6.872 -6.234
```

Here is a geometry-optimized LuCdHg2 structure from the Materials Project. Energies are from GGA-PBE.

* DFT total energy: -1.821 eV/atom

Cell and atoms, written as extended XYZ:
```
4
Lattice="-1.905 1.519 4.434 -5.008 0.389 0.601 -2.455 -3.289 2.958" Properties=species:S:1:pos:R:3 pbc="T T T"
Lu 0.000 0.000 0.000
Cd -4.684 -0.690 3.997
Hg -2.342 -0.345 1.998
Hg -7.026 -1.036 5.995
```

Here is a geometry-optimized NiPt structure from the Materials Project. Energies are from GGA-PBE.

* DFT total energy: -5.981 eV/atom

Cell and atoms, written as extended XYZ:
```
2
Lattice="4.287 -1.359 0.000 4.287 1.359 0.000 3.856 0.000 2.314" Properties=species:S:1:pos:R:3 pbc="T T T"
Ni 0.000 0.000 0.000
Pt 6.215 0.000 1.157
```

Here is a geometry-optimized Pr3Al12Os4 structure from the Materials Project. Energies are from GGA-PBE.

* DFT total energy: -6.042 eV/atom

Cell and atoms, written as extended XYZ:
```
38
Lattice="-5.754 3.406 5.911 -2.912 -2.806 -7.955 -1.479 -8.860 3.667" Properties=species:S:1:pos:R:3 pbc="T T T"
Pr -2.599 -2.640 -1.008
Pr -7.546 -5.620 2.631
Pr -6.259 -2.386 -1.872
Pr -3.885 -5.874 3.495
Pr -3.829 -3.825 -4.369
Pr -6.315 -4.435 5.991
Al -3.875 -0.830 -3.294
Al -6.269 -7.430 4.916
Al -5.562 -3.189 3.161
Al -4.583 -5.071 -1.539
Al -2.733 -5.453 0.482
Al -7.412 -2.808 1.141
Al -7.171 -5.145 -0.565
Al -6.894 0.295 -0.144
Al -2.974 -3.115 2.188
Al -3.251 -8.556 1.766
Al -4.225 -6.890 -3.592
Al -2.456 -0.012 0.903
Al -5.920 -1.371 5.214
Al -7.689 -8.248 0.719
Al -5.402 1.732 3.930
Al -4.742 -9.993 -2.308
Al -3.970 -0.650 3.247
Al -6.175 -7.610 -1.625
Al -6.678 -0.462 2.608
Al -3.466 -7.798 -0.986
Al -4.880 -1.527 0.761
Al -5.264 -6.733 0.861
Al -0.370 -2.215 0.917
Al -1.109 -6.645 2.750
Os -2.877 1.703 2.955
Os -1.456 -1.403 -3.978
Os -3.616 -2.727 4.789
Os -4.333 0.300 -1.022
Os -2.196 -5.833 -2.144
Os -5.072 -4.130 0.811
Os 0.000 0.000 0.000
Os -0.739 -4.430 1.833
```

Here is a geometry-optimized Tb5In4Ni2 structure from the Materials Project. Energies are from GGA-PBE.

* DFT total energy: -4.677 eV/atom

Cell and atoms, written as extended XYZ:
```
22
Lattice="-0.601 -3.043 -1.823 0.770 -4.250 6.841 -17.766 1.683 3.044" Properties=species:S:1:pos:R:3 pbc="T T T"
Tb -8.498 -1.284 4.943
Tb 0.000 0.000 0.000
Tb -4.366 -2.704 5.951
Tb -12.630 0.136 3.934
Tb -13.243 -1.895 7.526
Tb -3.753 -0.673 2.360
Tb -1.081 -2.479 4.494
Tb -15.915 -0.088 5.391
Tb -9.761 -2.760 7.823
Tb -7.235 0.192 2.063
In -16.280 -2.956 6.747
In -1.317 -2.654 1.315
In -7.329 -4.174 5.832
In -10.268 -1.436 2.231
In -11.447 -2.850 4.979
In -6.150 -2.760 3.083
In -2.288 -5.214 5.908
In -15.308 -0.396 2.155
Ni -3.378 -3.418 3.268
Ni -14.219 -2.192 4.794
Ni -11.913 -4.500 7.885
Ni -5.684 -1.111 0.177
```

Here is a geometry-optimized Mg2ZnAs2 structure from the Materials Project. Energies are from GGA-PBE.

* DFT total energy: -3.059 eV/atom
* polymorph energy (0 for the lowest one): 0.169 eV per atom

Cell and atoms, written as extended XYZ:
```
5
Lattice="-2.141 -3.708 0.000 -2.141 3.708 0.000 0.000 0.000 -6.622" Properties=species:S:1:pos:R:3 pbc="T T T"
Mg -2.141 -1.236 -4.272
Mg -2.141 1.236 -2.351
Zn 0.000 0.000 0.000
As -2.141 -1.236 -1.471
As -2.141 1.236 -5.151
```

Here is a geometry-optimized Ag15S5I4Br structure from the Materials Project. Energies are from GGA-PBE.

* DFT total energy: -2.937 eV/atom

Cell and atoms, written as extended XYZ:
```
25
Lattice="4.936 0.027 4.955 -4.911 4.955 4.958 -0.028 -9.850 4.868" Properties=species:S:1:pos:R:3 pbc="T T T"
Ag 0.132 -7.326 6.791
Ag 0.175 2.587 6.876
Ag 0.159 -2.341 1.880
Ag 0.156 -2.370 6.829
Ag 0.157 -2.355 11.781
Ag 1.930 0.166 2.545
Ag 1.926 0.194 7.474
Ag -3.028 0.190 7.469
Ag 1.894 -4.749 7.445
Ag -3.045 -4.754 7.469
Ag -2.422 -2.990 10.003
Ag 2.550 -7.933 9.985
Ag -2.394 1.939 5.103
Ag 2.533 -2.980 5.081
Ag 2.532 -2.989 10.021
S 2.660 -2.247 7.565
S -2.298 -2.268 7.567
S 2.623 -7.215 7.542
S -2.309 -7.195 7.522
S -2.274 2.690 7.589
I -0.022 0.002 4.932
I -0.017 0.038 9.858
I -0.036 -4.940 4.886
I -0.023 -4.901 9.819
Br 0.007 -9.808 4.900
```

Here is a geometry-optimized SiO2 structure from the Materials Project. Energies are from GGA-PBE.

* DFT total energy: -7.903 eV/atom

Cell and atoms, written as extended XYZ:
```
54
Lattice="13.147 0.000 0.000 -6.574 11.387 0.000 0.000 0.000 7.653" Properties=species:S:1:pos:R:3 pbc="T T T"
Si 11.583 2.601 1.475
Si 5.008 8.563 1.475
Si -3.441 11.274 1.475
Si 11.583 2.601 6.023
Si 5.008 8.563 6.023
Si -3.441 11.274 6.023
Si 3.443 11.274 1.475
Si 1.566 2.601 1.475
Si 8.141 8.563 1.475
Si 3.443 11.274 6.023
Si 1.566 2.601 6.023
Si 8.141 8.563 6.023
Si -1.584 4.711 3.749
Si 3.191 7.491 3.749
Si -1.604 10.236 3.749
Si 1.606 10.236 3.749
Si 1.586 4.711 3.749
Si -3.189 7.491 3.749
O 0.001 2.198 1.707
O 4.574 10.120 1.707
O -4.573 10.120 1.707
O 0.001 2.197 5.791
O 4.574 10.120 5.791
O -4.573 10.120 5.791
O 10.662 1.324 1.871
O 6.574 8.404 1.872
O 2.487 1.324 1.871
O 10.662 1.324 5.626
O 6.574 8.404 5.626
O 2.487 1.324 5.626
O -1.965 3.861 2.413
O 4.117 7.586 2.413
O -2.150 10.990 2.413
O -1.965 3.861 5.085
O 4.117 7.587 5.085
O -2.150 10.991 5.085
O 2.151 10.990 2.413
O 1.966 3.861 2.413
O -4.116 7.587 2.413
O 2.151 10.991 5.085
O 1.966 3.861 5.085
O -4.116 7.587 5.085
O 11.336 3.025 7.576
O 4.764 8.137 7.576
O -2.951 11.276 7.576
O 2.952 11.276 7.576
O 1.813 3.025 7.576
O 8.384 8.137 7.575
O 0.001 5.084 3.749
O 2.075 8.677 3.749
O -2.074 8.677 3.749
O -2.453 6.063 3.749
O 2.454 6.063 3.749
O 0.001 10.312 3.749
```

Here is a geometry-optimized BiSe structure from the Materials Project. Energies are from GGA-PBE.

* DFT total energy: -3.748 eV/atom
* polymorph energy (0 for the lowest one): 0.261 eV per atom

Cell and atoms, written as extended XYZ:
```
4
Lattice="10.458 7.721 1.120 6.514 11.162 -1.792 -9.523 -8.416 2.952" Properties=species:S:1:pos:R:3 pbc="T T T"
Bi 11.610 12.918 -0.460
Bi 5.362 5.965 -0.212
Se 13.584 15.114 -0.538
Se 3.388 3.769 -0.134
```

Here is a geometry-optimized Li2CuIrF6 structure from the Materials Project. Energies are from GGA-PBE.

* DFT total energy: -4.435 eV/atom

Cell and atoms, written as extended XYZ:
```
10
Lattice="0.000 4.123 4.123 4.123 0.000 4.123 4.123 4.123 0.000" Properties=species:S:1:pos:R:3 pbc="T T T"
Li 2.062 2.062 2.062
Li 6.185 6.185 6.185
Cu 4.123 4.123 4.123
Ir 0.000 0.000 0.000
F 4.123 4.123 2.054
F 6.192 4.123 4.123
F 4.123 4.123 6.192
F 4.123 2.054 4.123
F 4.123 6.192 4.123
F 2.054 4.123 4.123
```

Here is a geometry-optimized LiMnSb structure from the Materials Project. Energies are from GGA-PBE.

* DFT total energy: -5.171 eV/atom

Cell and atoms, written as extended XYZ:
```
6
Lattice="4.494 0.000 0.000 0.000 4.494 0.000 0.000 0.000 6.613" Properties=species:S:1:pos:R:3 pbc="T T T"
Li 2.247 2.247 3.307
Li 0.000 0.000 3.307
Mn 2.247 2.247 0.000
Mn 0.000 0.000 0.000
Sb 0.000 2.247 5.047
Sb 2.247 0.000 1.566
```

Here is a geometry-optimized MgNbAgO3 structure from the Materials Project. Energies are from GGA-PBE.

* DFT total energy: -6.545 eV/atom
* polymorph energy (0 for the lowest one): 0.000 eV per atom

Cell and atoms, written as extended XYZ:
```
6
Lattice="-3.902 -1.304 -1.218 1.316 -4.029 0.664 -0.477 2.564 5.032" Properties=species:S:1:pos:R:3 pbc="T T T"
Mg -1.910 -3.329 0.474
Nb -0.779 1.376 4.150
Ag -1.384 -0.821 2.648
O -2.067 -0.954 -0.296
O 0.322 -2.202 0.566
O -2.373 -2.925 2.342
```

Here is a geometry-optimized LiSn3SbP6O24 structure from the Materials Project. Energies are from GGA-PBE.

* DFT total energy: -6.832 eV/atom
* polymorph energy (0 for the lowest one): 0.000 eV per atom

Cell and atoms, written as extended XYZ:
```
35
Lattice="8.753 0.000 0.000 -4.362 7.592 0.000 -4.363 -2.525 7.194" Properties=species:S:1:pos:R:3 pbc="T T T"
Li 4.297 2.514 3.627
Sn 0.004 5.035 4.199
Sn -4.325 2.544 6.681
Sn 4.388 2.499 0.538
Sb 0.021 -0.004 3.025
P 2.577 0.050 5.379
P -5.601 5.363 5.383
P 1.286 2.818 1.825
P -1.271 2.177 5.388
P 5.676 -0.336 1.783
P -2.544 5.036 1.872
O 0.836 3.545 3.081
O -1.664 5.172 0.622
O 0.821 6.428 2.959
O 3.554 -1.121 5.376
O 0.808 3.472 0.519
O 1.693 0.041 4.095
O -7.109 5.141 5.378
O 3.350 1.400 5.298
O 1.068 6.570 0.426
O -4.847 4.007 5.277
O 0.710 1.365 1.782
O -2.821 2.207 5.280
O -0.809 -1.435 4.114
O 2.837 2.718 1.911
O 4.979 1.049 1.890
O -0.686 3.585 5.434
O -0.901 -1.499 6.685
O -0.815 1.433 4.097
O -3.416 3.753 1.879
O 7.215 -0.103 1.826
O -1.762 4.996 3.182
O -0.815 1.476 6.671
O -3.502 6.270 1.823
O 1.756 -0.051 6.668
```

Here is a geometry-optimized LiHoPd2 structure from the Materials Project. Energies are from GGA-PBE.

* DFT total energy: -4.920 eV/atom

Cell and atoms, written as extended XYZ:
```
4
Lattice="0.000 3.314 3.314 3.314 0.000 3.314 3.314 3.314 0.000" Properties=species:S:1:pos:R:3 pbc="T T T"
Li 0.000 0.000 0.000
Ho 3.314 3.314 3.314
Pd 1.657 1.657 1.657
Pd 4.972 4.972 4.972
```

Here is a geometry-optimized Ba2Ca3Tl2Cu4O12 structure from the Materials Project. Energies are from GGA-PBE.

* DFT total energy: -5.529 eV/atom
* polymorph energy (0 for the lowest one): 0.013 eV per atom

Cell and atoms, written as extended XYZ:
```
23
Lattice="3.899 0.000 -0.356 -0.032 3.899 -0.356 0.049 0.049 22.080" Properties=species:S:1:pos:R:3 pbc="T T T"
Ba 3.302 3.330 14.647
Ba 0.613 0.618 6.722
Ca 0.294 0.296 3.221
Ca 3.621 3.652 18.148
Ca 0.000 0.000 0.000
Tl 2.820 2.844 9.367
Tl 1.095 1.104 12.002
Cu 1.551 1.563 16.996
Cu 2.081 2.098 1.258
Cu 2.365 2.384 4.373
Cu 1.835 1.850 20.110
O 1.820 3.801 19.949
O 2.631 2.653 7.287
O 2.095 0.147 1.420
O 3.786 1.851 19.949
O 1.285 1.295 14.082
O 0.418 2.388 4.586
O 2.940 0.999 10.684
O 2.384 0.438 4.586
O 3.497 1.560 16.783
O 0.130 2.096 1.420
O 1.531 3.510 16.783
O 0.975 2.949 10.684
```

Here is a geometry-optimized TiMo3 structure from the Materials Project. Energies are from GGA-PBE.

* DFT total energy: -10.255 eV/atom

Cell and atoms, written as extended XYZ:
```
4
Lattice="3.637 -3.463 1.550 -1.684 -4.711 1.611 0.068 3.397 -4.010" Properties=species:S:1:pos:R:3 pbc="T T T"
Ti 1.852 -0.033 -1.230
Mo 1.476 -6.179 2.389
Mo 0.476 -1.995 0.771
Mo -0.808 -0.657 -1.199
```

Number 1: ΔH_f (0 K) -1.4836 eV per atom. Number 2: ΔH_f (0 K) -0.9006 eV per atom. Number 3: ΔH_f (0 K) -0.3080 eV per atom. Number 4: ΔH_f (0 K) -0.0551 eV per atom. Number 5: ΔH_f (0 K) -0.5582 eV per atom. Number 6: ΔH_f (0 K) -0.5186 eV per atom. Number 7: ΔH_f (0 K) -0.3038 eV per atom. Number 8: ΔH_f (0 K) -0.2231 eV per atom. Number 9: ΔH_f (0 K) -3.2542 eV per atom. Number 10: ΔH_f (0 K) -0.2908 eV per atom. Number 11: ΔH_f (0 K) -1.8879 eV per atom. Number 12: ΔH_f (0 K) -0.1681 eV per atom. Number 13: ΔH_f (0 K) -1.9919 eV per atom. Number 14: ΔH_f (0 K) -2.4664 eV per atom. Number 15: ΔH_f (0 K) -0.7076 eV per atom. Number 16: ΔH_f (0 K) -1.9591 eV per atom. Number 17: ΔH_f (0 K) -0.1473 eV per atom.